[1]
Nb3Os2 | r2SCAN | optimized geometry

Unit cell a=9.9135 b=9.9135 c=5.0883 alpha=90.00 beta=90.00 gamma=90.19
Fractional positions:
Nb (0.0344, 0.6292, 0.0123)
Nb (0.1019, 0.8981, 0.0000)
Nb (0.1281, 0.4612, 0.5102)
Nb (0.1802, 0.1802, 0.7607)
Nb (0.3186, 0.6814, 0.2592)
Nb (0.3189, 0.6811, 0.7589)
Nb (0.3708, 0.9656, 0.0123)
Nb (0.3953, 0.3953, 0.5125)
Nb (0.4612, 0.1281, 0.5102)
Nb (0.5388, 0.8719, 0.5102)
Nb (0.6047, 0.6047, 0.5125)
Nb (0.6292, 0.0344, 0.0123)
Nb (0.6814, 0.3186, 0.2592)
Nb (0.6811, 0.3189, 0.7589)
Nb (0.8198, 0.8198, 0.7607)
Nb (0.8719, 0.5388, 0.5102)
Nb (0.8981, 0.1019, 0.0000)
Nb (0.9656, 0.3708, 0.0123)
Os (0.0000, 0.0000, 0.4819)
Os (0.0648, 0.7444, 0.5082)
Os (0.1807, 0.1807, 0.2585)
Os (0.2415, 0.4287, 0.0114)
Os (0.2556, 0.9352, 0.5082)
Os (0.4287, 0.2415, 0.0114)
Os (0.5000, 0.5000, 0.0102)
Os (0.5713, 0.7585, 0.0114)
Os (0.7444, 0.0648, 0.5082)
Os (0.7585, 0.5713, 0.0114)
Os (0.8193, 0.8193, 0.2585)
Os (0.9352, 0.2556, 0.5082)

[2]
Ta2NbOs | r2SCAN | optimized geometry

Unit cell a=4.5604 b=4.5604 c=4.5604 alpha=60.00 beta=60.00 gamma=60.00
Fractional positions:
Ta (0.2500, 0.2500, 0.2500)
Ta (0.7500, 0.7500, 0.7500)
Nb (0.0000, 0.0000, 0.0000)
Os (0.5000, 0.5000, 0.5000)

[3]
Nb2TcOs | r2SCAN | optimized geometry

Unit cell a=4.5084 b=4.5084 c=4.5084 alpha=60.00 beta=60.00 gamma=60.00
Fractional positions:
Nb (0.2500, 0.2500, 0.2500)
Nb (0.7500, 0.7500, 0.7500)
Tc (0.0000, 0.0000, 0.0000)
Os (0.5000, 0.5000, 0.5000)

[4]
TmNbOs2 | r2SCAN | optimized geometry

Unit cell a=4.5999 b=4.5999 c=4.5999 alpha=60.10 beta=60.10 gamma=60.10
Fractional positions:
Tm (0.0000, 0.0000, 0.0000)
Nb (0.5000, 0.5000, 0.5000)
Os (0.2502, 0.2502, 0.2502)
Os (0.7498, 0.7498, 0.7498)

[5]
Nb2P5 | r2SCAN | optimized geometry

Unit cell a=16.7545 b=3.3921 c=7.9323 alpha=90.00 beta=90.00 gamma=90.00
Fractional positions:
Nb (0.0949, 0.2500, 0.1647)
Nb (0.2261, 0.7500, 0.6731)
Nb (0.2739, 0.2500, 0.1731)
Nb (0.4051, 0.7500, 0.6647)
Nb (0.5949, 0.2500, 0.3353)
Nb (0.7261, 0.7500, 0.8269)
Nb (0.7739, 0.2500, 0.3269)
Nb (0.9051, 0.7500, 0.8353)
P (0.0224, 0.2500, 0.8787)
P (0.0400, 0.2500, 0.4631)
P (0.1148, 0.2500, 0.6839)
P (0.1853, 0.7500, 0.3465)
P (0.1850, 0.7500, 0.9970)
P (0.3150, 0.2500, 0.4970)
P (0.3147, 0.2500, 0.8465)
P (0.3852, 0.7500, 0.1839)
P (0.4600, 0.7500, 0.9631)
P (0.4776, 0.7500, 0.3787)
P (0.5224, 0.2500, 0.6213)
P (0.5400, 0.2500, 0.0369)
P (0.6148, 0.2500, 0.8161)
P (0.6853, 0.7500, 0.1535)
P (0.6850, 0.7500, 0.5030)
P (0.8150, 0.2500, 0.0030)
P (0.8147, 0.2500, 0.6535)
P (0.8852, 0.7500, 0.3161)
P (0.9600, 0.7500, 0.5369)
P (0.9776, 0.7500, 0.1213)

[6]
Nb7P4 | r2SCAN | optimized geometry

Unit cell a=7.7198 b=7.7198 c=13.9386 alpha=104.43 beta=104.43 gamma=25.91
Fractional positions:
Nb (0.0000, 0.0000, 0.0000)
Nb (0.0038, 0.0038, 0.6656)
Nb (0.1745, 0.1745, 0.5407)
Nb (0.1950, 0.1950, 0.3121)
Nb (0.2098, 0.2098, 0.8003)
Nb (0.3376, 0.3376, 0.0275)
Nb (0.4319, 0.4319, 0.8277)
Nb (0.5000, 0.5000, 0.5000)
Nb (0.5681, 0.5681, 0.1723)
Nb (0.6624, 0.6624, 0.9725)
Nb (0.7902, 0.7902, 0.1997)
Nb (0.8050, 0.8050, 0.6879)
Nb (0.8255, 0.8255, 0.4593)
Nb (0.9962, 0.9962, 0.3344)
P (0.0643, 0.0643, 0.8495)
P (0.1740, 0.1740, 0.1124)
P (0.3693, 0.3693, 0.3357)
P (0.3738, 0.3738, 0.6021)
P (0.6262, 0.6262, 0.3979)
P (0.6307, 0.6307, 0.6643)
P (0.8260, 0.8260, 0.8876)
P (0.9357, 0.9357, 0.1505)

[7]
Nb2P | r2SCAN | optimized geometry

Unit cell a=18.0892 b=3.4625 c=13.9237 alpha=90.00 beta=90.00 gamma=90.00
Fractional positions:
Nb (0.0000, 0.0000, 0.0000)
Nb (0.0000, 0.5000, 0.5000)
Nb (0.0009, 0.0000, 0.3386)
Nb (0.0619, 0.5000, 0.1564)
Nb (0.1206, 0.5000, 0.9306)
Nb (0.1436, 0.0000, 0.4962)
Nb (0.1624, 0.0000, 0.7382)
Nb (0.1649, 0.0000, 0.2594)
Nb (0.2500, 0.0000, 0.9391)
Nb (0.2500, 0.5000, 0.1137)
Nb (0.2500, 0.5000, 0.3811)
Nb (0.2500, 0.5000, 0.6120)
Nb (0.3351, 0.0000, 0.2594)
Nb (0.3376, 0.0000, 0.7382)
Nb (0.3564, 0.0000, 0.4962)
Nb (0.3794, 0.5000, 0.9306)
Nb (0.4381, 0.5000, 0.1564)
Nb (0.4991, 0.0000, 0.3386)
Nb (0.5000, 0.0000, 0.0000)
Nb (0.5000, 0.5000, 0.5000)
Nb (0.5009, 0.0000, 0.6614)
Nb (0.5619, 0.5000, 0.8436)
Nb (0.6206, 0.5000, 0.0694)
Nb (0.6436, 0.0000, 0.5038)
Nb (0.6624, 0.0000, 0.2618)
Nb (0.6649, 0.0000, 0.7406)
Nb (0.7500, 0.0000, 0.0609)
Nb (0.7500, 0.5000, 0.3880)
Nb (0.7500, 0.5000, 0.6189)
Nb (0.7500, 0.5000, 0.8863)
Nb (0.8351, 0.0000, 0.7406)
Nb (0.8376, 0.0000, 0.2618)
Nb (0.8564, 0.0000, 0.5038)
Nb (0.8794, 0.5000, 0.0694)
Nb (0.9381, 0.5000, 0.8436)
Nb (0.9991, 0.0000, 0.6614)
P (0.0455, 0.0000, 0.8292)
P (0.1036, 0.5000, 0.3635)
P (0.1045, 0.5000, 0.6274)
P (0.1438, 0.0000, 0.0685)
P (0.2500, 0.5000, 0.8099)
P (0.3562, 0.0000, 0.0685)
P (0.3955, 0.5000, 0.6274)
P (0.3964, 0.5000, 0.3635)
P (0.4545, 0.0000, 0.8292)
P (0.5455, 0.0000, 0.1708)
P (0.6036, 0.5000, 0.6365)
P (0.6045, 0.5000, 0.3726)
P (0.6438, 0.0000, 0.9315)
P (0.7500, 0.5000, 0.1901)
P (0.8562, 0.0000, 0.9315)
P (0.8955, 0.5000, 0.3726)
P (0.8964, 0.5000, 0.6365)
P (0.9545, 0.0000, 0.1708)

[8]
NbPRh | r2SCAN | optimized geometry

Unit cell a=6.3733 b=3.7577 c=7.1615 alpha=90.00 beta=90.00 gamma=90.00
Fractional positions:
Nb (0.0304, 0.2500, 0.1662)
Nb (0.4696, 0.7500, 0.6662)
Nb (0.5304, 0.2500, 0.3338)
Nb (0.9696, 0.7500, 0.8338)
P (0.2339, 0.7500, 0.3746)
P (0.2661, 0.2500, 0.8746)
P (0.7339, 0.7500, 0.1254)
P (0.7661, 0.2500, 0.6254)
Rh (0.1477, 0.2500, 0.5615)
Rh (0.3523, 0.7500, 0.0615)
Rh (0.6477, 0.2500, 0.9385)
Rh (0.8523, 0.7500, 0.4385)

Number 1: M_tot 0.00 μB per formula unit, ΔH_f (0 K) -0.2780 eV/atom. Number 2: M_tot 0.00 μB per formula unit, ΔH_f (0 K) -0.3535 eV/atom. Number 3: M_tot 0.00 μB per formula unit, ΔH_f (0 K) -0.3075 eV/atom. Number 4: M_tot 0.00 μB per formula unit, ΔH_f (0 K) -0.3387 eV/atom. Number 5: M_tot 0.00 μB per formula unit, ΔH_f (0 K) -0.6034 eV/atom. Number 6: M_tot 0.00 μB per formula unit, ΔH_f (0 K) -0.9217 eV/atom. Number 7: M_tot 0.00 μB per formula unit, ΔH_f (0 K) -0.8838 eV/atom. Number 8: M_tot 0.00 μB per formula unit, ΔH_f (0 K) -0.9353 eV/atom.